# MnAlN2 | Materials Project | PBE | relaxed
data_MnAlN2
_space_group_name_H-M_alt 'P b c a'
_space_group_IT_number 61
_space_group_name_Hall '-P 2ac 2ab'
_cell_length_a 5.1913
_cell_length_b 10.6224
_cell_length_c 12.9389
_cell_angle_alpha 90.00
_cell_angle_beta 90.00
_cell_angle_gamma 90.00
loop_
_atom_site_label
_atom_site_fract_x
_atom_site_fract_y
_atom_site_fract_z
_atom_site_occupancy
Mn1 0.1580 0.0474 0.0589 1
Mn2 0.1907 0.2058 0.1934 1
Al1 0.1301 0.5386 0.8147 1
Al2 0.1918 0.2090 0.4360 1
N1 0.1523 0.7151 0.8184 1
N2 0.1737 0.7106 0.0542 1
N3 0.2074 0.5359 0.4306 1
N4 0.2091 0.5250 0.1945 1
# Total DFT energy (no corrections): -511.2 eV per cell
# Corrected total energy (MP2020 scheme): -8.167 eV per atom
# Size of the total moment: 2.5 μB per formula unit
# Calculated density: 4.09 g/cm3
# V: 45 Å³/f.u.

---

# PrPbO3 | Materials Project | PBE | relaxed
data_PrPbO3
_space_group_name_H-M_alt 'P m -3 m'
_space_group_IT_number 221
_space_group_name_Hall '-P 4 2 3'
_cell_length_a 4.5373
_cell_length_b 4.5373
_cell_length_c 4.5373
_cell_angle_alpha 90.00
_cell_angle_beta 90.00
_cell_angle_gamma 90.00
loop_
_atom_site_label
_atom_site_fract_x
_atom_site_fract_y
_atom_site_fract_z
_atom_site_occupancy
Pr1 0.0000 0.0000 0.0000 1
Pb1 0.5000 0.5000 0.5000 1
O1 0.0000 0.0000 0.5000 1
# Total DFT energy (no corrections): -31.2 eV per cell
# Corrected total energy (MP2020 scheme): -6.651 eV per atom
# Size of the total moment: 1.0 μB per formula unit
# Calculated density: 7.04 g/cm3
# V: 93 Å³/f.u.

---

# YGaN2 | Materials Project | PBE | relaxed
data_YGaN2
_space_group_name_H-M_alt 'P b c a'
_space_group_IT_number 61
_space_group_name_Hall '-P 2ac 2ab'
_cell_length_a 5.1024
_cell_length_b 10.1549
_cell_length_c 16.6066
_cell_angle_alpha 90.00
_cell_angle_beta 90.00
_cell_angle_gamma 90.00
loop_
_atom_site_label
_atom_site_fract_x
_atom_site_fract_y
_atom_site_fract_z
_atom_site_occupancy
Y1 0.2177 0.2462 0.1879 1
Y2 0.2388 0.0042 0.0630 1
Ga1 0.1972 0.2254 0.4377 1
Ga2 0.2002 0.5215 0.8125 1
N1 0.1888 0.5118 0.1996 1
N2 0.1936 0.7423 0.0515 1
N3 0.2273 0.5310 0.4256 1
N4 0.2382 0.7180 0.8244 1
# Total DFT energy (no corrections): -472.3 eV per cell
# Corrected total energy (MP2020 scheme): -7.560 eV per atom
# Size of the total moment: 0.0 μB per formula unit
# Calculated density: 5.76 g/cm3
# V: 54 Å³/f.u.

---

Please write out number 3 again, unchanged.
# YGaN2 | Materials Project | PBE | relaxed
data_YGaN2
_space_group_name_H-M_alt 'P b c a'
_space_group_IT_number 61
_space_group_name_Hall '-P 2ac 2ab'
_cell_length_a 5.1024
_cell_length_b 10.1549
_cell_length_c 16.6066
_cell_angle_alpha 90.00
_cell_angle_beta 90.00
_cell_angle_gamma 90.00
loop_
_atom_site_label
_atom_site_fract_x
_atom_site_fract_y
_atom_site_fract_z
_atom_site_occupancy
Y1 0.2177 0.2462 0.1879 1
Y2 0.2388 0.0042 0.0630 1
Ga1 0.1972 0.2254 0.4377 1
Ga2 0.2002 0.5215 0.8125 1
N1 0.1888 0.5118 0.1996 1
N2 0.1936 0.7423 0.0515 1
N3 0.2273 0.5310 0.4256 1
N4 0.2382 0.7180 0.8244 1
# Total DFT energy (no corrections): -472.3 eV per cell
# Corrected total energy (MP2020 scheme): -7.560 eV per atom
# Size of the total moment: 0.0 μB per formula unit
# Calculated density: 5.76 g/cm3
# V: 54 Å³/f.u.

---

Among the records above, which one has the highest corrected total energy (MP2020 scheme)? PrPbO3

---

The highest calculated density belongs to which entry? PrPbO3

---

Which of these has the highest calculated density? PrPbO3